Entry w
A relaxed structure of Li3V5O12. Source: the Materials Project, functional PBE+U.

Output
theoretical density = 3202 kg/m³

Unit cell a=5.6445 b=6.9121 c=6.9181 alpha=103.89 beta=72.62 gamma=107.36
Fractional coordinates of all 20 atoms:
Li  0.7496  0.7252  0.7252
Li  0.7501  0.0909  0.0911
Li  0.2497  0.2852  0.2856
O  0.6690  0.0291  0.3993
O  0.3301  0.0014  0.2032
O  0.1855  0.8860  0.6526
O  0.9362  0.6908  0.3694
O  0.1706  0.2031  0.0016
O  0.8313  0.3993  0.0289
O  0.4304  0.5935  0.2919
O  0.8603  0.8040  0.0167
O  0.0697  0.2921  0.5938
O  0.5635  0.3691  0.6913
O  0.6398  0.0171  0.8045
O  0.3152  0.6529  0.8847
V  0.2961  0.8412  0.3856
V  0.2031  0.3858  0.8415
V  0.7656  0.6252  0.1811
V  0.7343  0.1808  0.6252
V  0.2499  0.9272  0.9269



Entry x
A relaxed structure of Li3V5O12. Source: the Materials Project, functional PBE+U.

Output
theoretical density = 3900 kg/m³

Unit cell a=5.0386 b=5.3610 c=7.4045 alpha=95.54 beta=90.47 gamma=90.57
Fractional coordinates of all 20 atoms:
O  0.3091  0.1541  0.9591
O  0.8116  0.2681  0.0774
O  0.6921  0.7735  0.0809
O  0.1247  0.9641  0.2638
O  0.1807  0.2773  0.5876
O  0.2886  0.7785  0.5902
O  0.3850  0.4616  0.2684
O  0.8704  0.9573  0.7738
O  0.8288  0.6621  0.4679
O  0.6941  0.1466  0.4529
O  0.1727  0.6483  0.9521
O  0.6357  0.4602  0.7563
V  0.5100  0.5044  0.0106
V  0.4904  0.4884  0.4990
V  0.9960  0.9981  0.4820
V  0.0003  0.5926  0.7130
V  0.0050  0.0108  0.9964
Li  0.4971  0.0705  0.7120
Li  0.0041  0.5721  0.2150
Li  0.5037  0.0707  0.2120



Most stable structure - entry w; separation to the second - 0.024 eV/atom.



Entry w
A relaxed structure of Li9Co7O16. Source: the Materials Project, functional PBE+U.

Output
theoretical density = 4286 kg/m³

Unit cell a=2.9274 b=9.7466 c=10.1618 alpha=77.66 beta=90.00 gamma=90.00
Fractional coordinates of all 32 atoms:
O  0.5000  0.3771  0.4290
O  0.0000  0.1377  0.0473
O  0.5000  0.8560  0.1780
O  0.0000  0.1247  0.5519
O  0.5000  0.3633  0.9245
O  0.5000  0.8788  0.6753
O  0.0000  0.8623  0.9527
O  0.0000  0.3783  0.1954
O  0.5000  0.6229  0.5710
O  0.5000  0.6367  0.0755
O  0.5000  0.1212  0.3247
O  0.0000  0.6273  0.2998
O  0.0000  0.6217  0.8046
O  0.5000  0.1440  0.8220
O  0.0000  0.3727  0.7002
O  0.0000  0.8753  0.4481
Li  0.5000  0.2467  0.1209
Li  0.5000  0.0000  0.0000
Li  0.5000  0.2513  0.6268
Li  0.5000  0.7487  0.3732
Li  0.0000  0.9985  0.7571
Li  0.0000  0.5000  0.5000
Li  0.0000  0.5000  0.0000
Li  0.5000  0.7533  0.8791
Li  0.0000  0.0015  0.2429
Co  0.0000  0.2444  0.8799
Co  0.5000  0.5021  0.2535
Co  0.0000  0.7508  0.6262
Co  0.0000  0.7556  0.1201
Co  0.5000  0.4979  0.7465
Co  0.0000  0.2492  0.3738
Co  0.5000  0.0000  0.5000



Entry x
A relaxed structure of Li9Co7O16. Source: the Materials Project, functional PBE+U.

Output
theoretical density = 4208 kg/m³

Unit cell a=3.0094 b=6.3733 c=15.4578 alpha=89.64 beta=88.78 gamma=76.70
Fractional coordinates of all 32 atoms:
O  0.1812  0.6917  0.9599
O  0.2780  0.4492  0.3411
O  0.6467  0.7003  0.4664
O  0.2360  0.5410  0.1574
O  0.5189  0.9670  0.0985
O  0.9811  0.0466  0.4085
O  0.3533  0.2997  0.5336
O  0.4811  0.0330  0.9015
O  0.0660  0.7956  0.7849
O  0.7640  0.4590  0.8426
O  0.9340  0.2044  0.2151
O  0.6093  0.7960  0.2830
O  0.0189  0.9534  0.5915
O  0.8188  0.3083  0.0401
O  0.7220  0.5508  0.6589
O  0.3907  0.2040  0.7170
Li  0.4375  0.1230  0.3128
Li  0.8129  0.3747  0.4375
Li  0.0000  0.0000  0.0000
Li  0.5625  0.8770  0.6872
Li  0.3187  0.3691  0.9386
Li  0.0587  0.8801  0.1865
Li  0.6813  0.6309  0.0614
Li  0.9413  0.1199  0.8135
Li  0.1871  0.6253  0.5625
Co  0.1272  0.7465  0.3748
Co  0.3810  0.2425  0.1195
Co  0.2476  0.5020  0.7516
Co  0.7524  0.4980  0.2484
Co  0.8728  0.2535  0.6252
Co  0.5000  0.0000  0.5000
Co  0.6190  0.7575  0.8805



Entry y
A relaxed structure of Li9Co7O16. Source: the Materials Project, functional PBE+U.

Output
theoretical density = 4297 kg/m³

Unit cell a=5.0807 b=7.6513 c=7.7356 alpha=82.49 beta=84.18 gamma=71.71
Fractional coordinates of all 32 atoms:
O  0.7816  0.2302  0.3349
O  0.2166  0.5318  0.4169
O  0.2316  0.2887  0.1695
O  0.7684  0.7113  0.8305
O  0.2387  0.8984  0.2768
O  0.2184  0.7698  0.6651
O  0.7721  0.8217  0.4790
O  0.7613  0.1016  0.7232
O  0.7839  0.5800  0.2295
O  0.2161  0.4200  0.7705
O  0.7668  0.9615  0.0896
O  0.7834  0.4682  0.5831
O  0.2279  0.1783  0.5210
O  0.2316  0.6537  0.0298
O  0.7684  0.3463  0.9702
O  0.2332  0.0385  0.9104
Co  0.0000  0.5000  0.0000
Co  0.9983  0.2427  0.7459
Co  0.9987  0.1245  0.1302
Co  0.0017  0.7573  0.2541
Co  0.9935  0.6277  0.6228
Co  0.0065  0.3723  0.3772
Co  0.0013  0.8755  0.8698
Li  0.4916  0.0598  0.3158
Li  0.5067  0.1842  0.9383
Li  0.5034  0.4376  0.1843
Li  0.4959  0.6922  0.4382
Li  0.5084  0.9402  0.6842
Li  0.5041  0.3078  0.5618
Li  0.0000  0.0000  0.5000
Li  0.4966  0.5624  0.8157
Li  0.4933  0.8158  0.0617



Most stable structure - entry y; separation to the second - 0.015 eV/atom.



Entry w
A relaxed structure of Li9Co7O16. Source: the Materials Project, functional PBE+U.

Output
theoretical density = 4237 kg/m³

Unit cell a=2.9798 b=9.8666 c=10.2751 alpha=106.57 beta=98.26 gamma=88.59
Fractional coordinates of all 32 atoms:
Li  0.4391  0.6831  0.8765
Li  0.1820  0.4380  0.3735
Li  0.0000  0.5000  0.0000
Li  0.8180  0.5620  0.6265
Li  0.9354  0.1862  0.8723
Li  0.3133  0.0615  0.6256
Li  0.0646  0.8138  0.1277
Li  0.6867  0.9385  0.3744
Li  0.5609  0.3169  0.1235
O  0.6500  0.2748  0.3192
O  0.5435  0.6567  0.0829
O  0.4565  0.3433  0.9171
O  0.0613  0.4815  0.1926
O  0.3980  0.0208  0.8124
O  0.7849  0.8991  0.5657
O  0.2151  0.1009  0.4343
O  0.1986  0.7710  0.3167
O  0.9387  0.5185  0.8074
O  0.2761  0.3970  0.5734
O  0.7239  0.6030  0.4266
O  0.6020  0.9792  0.1876
O  0.0342  0.1483  0.0650
O  0.8014  0.2290  0.6833
O  0.3500  0.7252  0.6808
O  0.9658  0.8517  0.9350
Co  0.2539  0.7484  0.4972
Co  0.8752  0.8761  0.7470
Co  0.5000  0.0000  0.0000
Co  0.7461  0.2516  0.5028
Co  0.1248  0.1239  0.2530
Co  0.6222  0.6199  0.2406
Co  0.3778  0.3801  0.7594



Entry x
A relaxed structure of Li9Co7O16. Source: the Materials Project, functional PBE+U.

Output
theoretical density = 4418 kg/m³

Unit cell a=10.1278 b=10.1278 c=4.9885 alpha=80.39 beta=80.39 gamma=33.04
Fractional coordinates of all 32 atoms:
O  0.4410  0.9440  0.3809
O  0.0560  0.5590  0.6191
O  0.4447  0.4447  0.3975
O  0.7147  0.1763  0.8610
O  0.2853  0.8237  0.1390
O  0.1763  0.7147  0.8610
O  0.5553  0.5553  0.6025
O  0.6921  0.6921  0.8522
O  0.0534  0.0534  0.6350
O  0.8237  0.2853  0.1390
O  0.1938  0.1938  0.8527
O  0.3079  0.3079  0.1478
O  0.9466  0.9466  0.3650
O  0.5590  0.0560  0.6191
O  0.9440  0.4410  0.3809
O  0.8062  0.8062  0.1473
Li  0.3798  0.3798  0.7503
Li  0.1336  0.6244  0.2495
Li  0.8785  0.8785  0.7447
Li  0.8664  0.3756  0.7505
Li  0.3756  0.8664  0.7505
Li  0.1215  0.1215  0.2553
Li  0.5000  0.5000  0.0000
Li  0.6202  0.6202  0.2497
Li  0.6244  0.1336  0.2495
Co  0.2506  0.2506  0.5002
Co  0.0000  0.0000  0.0000
Co  0.7465  0.2535  0.5000
Co  0.5000  0.0000  0.0000
Co  0.0000  0.5000  0.0000
Co  0.2535  0.7465  0.5000
Co  0.7494  0.7494  0.4998



Entry y
A relaxed structure of Li9Co7O16. Source: the Materials Project, functional PBE+U.

Output
theoretical density = 4264 kg/m³

Unit cell a=10.1315 b=10.1315 c=5.1206 alpha=80.23 beta=80.23 gamma=33.39
Fractional coordinates of all 32 atoms:
Li  0.6247  0.6247  0.2470
Li  0.8752  0.8752  0.7532
Li  0.3753  0.3753  0.7530
Li  0.0000  0.5000  0.0000
Li  0.1248  0.1248  0.2468
Li  0.2547  0.7453  0.5000
Li  0.5000  0.0000  0.0000
Li  0.7453  0.2547  0.5000
Li  0.5000  0.5000  0.0000
Co  0.3755  0.8677  0.7553
Co  0.8677  0.3755  0.7553
Co  0.6245  0.1323  0.2447
Co  0.2498  0.2498  0.4981
Co  0.7502  0.7502  0.5019
Co  0.1323  0.6245  0.2447
Co  0.0000  0.0000  0.0000
O  0.4309  0.4309  0.3752
O  0.8311  0.2873  0.1021
O  0.5643  0.0565  0.6081
O  0.1689  0.7127  0.8979
O  0.9435  0.4357  0.3919
O  0.9406  0.9406  0.3436
O  0.0565  0.5643  0.6081
O  0.7127  0.1689  0.8979
O  0.6856  0.6856  0.8618
O  0.3144  0.3144  0.1382
O  0.8163  0.8163  0.1465
O  0.0594  0.0594  0.6564
O  0.5691  0.5691  0.6248
O  0.2873  0.8311  0.1021
O  0.1837  0.1837  0.8535
O  0.4357  0.9435  0.3919



Most stable structure - entry x; separation to the second - 0.021 eV/atom.



Entry w
A relaxed structure of Li9Co7O16. Source: the Materials Project, functional PBE+U.

Output
theoretical density = 4268 kg/m³

Unit cell a=5.8861 b=5.8861 c=9.6981 alpha=81.30 beta=81.30 gamma=59.26
Fractional coordinates of all 32 atoms:
O  0.4463  0.9449  0.3787
O  0.8265  0.8265  0.1184
O  0.0551  0.5537  0.6213
O  0.9449  0.4463  0.3787
O  0.5537  0.0551  0.6213
O  0.2780  0.8222  0.1192
O  0.6848  0.6848  0.8616
O  0.4310  0.4310  0.3727
O  0.7220  0.1778  0.8808
O  0.0726  0.0726  0.6306
O  0.5690  0.5690  0.6273
O  0.9274  0.9274  0.3694
O  0.1778  0.7220  0.8808
O  0.8222  0.2780  0.1192
O  0.3152  0.3152  0.1384
O  0.1735  0.1735  0.8816
Li  0.5000  0.5000  0.0000
Li  0.7499  0.2501  0.5000
Li  0.2501  0.7499  0.5000
Li  0.0000  0.5000  0.0000
Li  0.1239  0.1239  0.2491
Li  0.8761  0.8761  0.7509
Li  0.6229  0.6229  0.2472
Li  0.3771  0.3771  0.7528
Li  0.5000  0.0000  0.0000
Co  0.1323  0.6227  0.2436
Co  0.2512  0.2512  0.4999
Co  0.8677  0.3773  0.7564
Co  0.0000  0.0000  0.0000
Co  0.6227  0.1323  0.2436
Co  0.3773  0.8677  0.7564
Co  0.7488  0.7488  0.5001



Entry x
A relaxed structure of Li9Co7O16. Source: the Materials Project, functional PBE+U.

Output
theoretical density = 4543 kg/m³

Unit cell a=11.3680 b=4.9549 c=5.0389 alpha=70.27 beta=90.00 gamma=90.00
Fractional coordinates of all 32 atoms:
O  0.6362  0.2529  0.2188
O  0.3638  0.7471  0.7812
O  0.1260  0.7402  0.7880
O  0.2492  0.7559  0.2182
O  0.7508  0.7559  0.2182
O  0.6362  0.7471  0.7812
O  0.5000  0.2202  0.7695
O  0.0000  0.7749  0.2317
O  0.3638  0.2529  0.2188
O  0.1260  0.2598  0.2120
O  0.0000  0.2251  0.7683
O  0.8740  0.2598  0.2120
O  0.2492  0.2441  0.7818
O  0.7508  0.2441  0.7818
O  0.8740  0.7402  0.7880
O  0.5000  0.7798  0.2305
Li  0.5000  0.5000  0.0000
Li  0.2514  0.0000  0.5000
Li  0.0000  0.0000  0.5000
Li  0.3835  0.5000  0.5000
Li  0.7486  0.0000  0.5000
Li  0.1263  0.5000  0.5000
Li  0.8737  0.5000  0.5000
Li  0.5000  0.0000  0.5000
Li  0.6165  0.5000  0.5000
Co  0.7458  0.5000  0.0000
Co  0.6242  0.0000  0.0000
Co  0.3758  0.0000  0.0000
Co  0.2542  0.5000  0.0000
Co  0.0000  0.5000  0.0000
Co  0.1254  0.0000  0.0000
Co  0.8746  0.0000  0.0000



Most stable structure - entry x; separation to the second - 0.037 eV/atom.